1.
The following is a DFT calculation (PBE) of crystalline SbSeBr at its relaxed geometry.

Computed properties:
As for the total energy after the MP2020 corrections: -3.706 eV/atom.

extended XYZ file:
```
12
Lattice="8.700 0.000 0.000 0.000 4.082 0.000 0.000 0.000 10.867" Properties=species:S:1:pos:R:3 pbc="T T T"
Sb 0.931 1.021 1.431
Sb 3.419 3.062 6.864
Sb 5.281 1.021 4.002
Sb 7.769 3.062 9.436
Se 1.520 3.062 10.435
Se 2.831 1.021 5.002
Se 5.870 3.062 5.865
Se 7.181 1.021 0.432
Br 0.173 1.021 7.586
Br 4.178 3.062 2.152
Br 4.523 1.021 8.714
Br 8.528 3.062 3.281
```



2.
The following is a DFT calculation (PBE) of crystalline Fe4Te3Se at its relaxed geometry.

Computed properties:
As for the total energy after the MP2020 corrections: -6.011 eV/atom. Its spin magnetization is 7.89 μB/cell.

extended XYZ file:
```
8
Lattice="3.642 0.000 0.000 0.000 3.653 6.422 0.000 -3.653 6.422" Properties=species:S:1:pos:R:3 pbc="T T T"
Fe 0.000 0.000 0.000
Fe 0.000 0.000 6.395
Fe 1.821 -1.853 6.411
Fe 1.821 1.853 6.411
Te 0.000 -1.834 4.581
Te 0.000 1.834 4.581
Te 1.821 0.000 8.213
Se 1.821 0.000 1.595
```



3.
The following is a DFT calculation (PBE) of crystalline Nd2Sb4Ir3 at its relaxed geometry.

Computed properties:
Its spin magnetization is 0.02 μB/cell.

extended XYZ file:
```
36
Lattice="16.317 0.000 0.000 0.000 4.585 0.000 0.000 0.000 11.073" Properties=species:S:1:pos:R:3 pbc="T T T"
Nd 0.109 1.146 2.747
Nd 4.056 3.439 6.524
Nd 4.102 1.146 0.987
Nd 8.049 3.439 8.284
Nd 8.267 1.146 2.789
Nd 12.215 3.439 10.085
Nd 12.261 1.146 4.549
Nd 16.208 3.439 8.325
Sb 1.116 3.439 4.950
Sb 1.726 3.439 0.694
Sb 2.444 1.146 8.582
Sb 3.436 1.146 4.283
Sb 4.722 3.439 9.819
Sb 5.714 3.439 3.046
Sb 6.432 1.146 6.230
Sb 7.042 1.146 10.487
Sb 9.274 3.439 0.586
Sb 9.884 3.439 4.842
Sb 10.602 1.146 8.027
Sb 11.595 1.146 1.254
Sb 12.880 3.439 6.790
Sb 13.873 3.439 2.490
Sb 14.591 1.146 10.379
Sb 15.201 1.146 6.123
Ir 0.918 1.146 10.697
Ir 1.507 1.146 6.161
Ir 2.977 3.439 3.066
Ir 5.182 1.146 8.602
Ir 6.651 3.439 0.624
Ir 7.241 3.439 5.160
Ir 9.076 1.146 5.913
Ir 9.666 1.146 10.448
Ir 11.135 3.439 2.470
Ir 13.340 1.146 8.007
Ir 14.809 3.439 4.912
Ir 15.399 3.439 0.376
```



4.
The following is a DFT calculation (PBE) of crystalline BeSiNi2 at its relaxed geometry.

Computed properties:
Its relative energy among the computed polymorphs is 86 meV/atom. Its spin magnetization is 0.00 μB/cell.

extended XYZ file:
```
4
Lattice="2.750 0.000 0.000 0.000 2.750 0.000 0.000 0.000 5.294" Properties=species:S:1:pos:R:3 pbc="T T T"
Be 0.000 0.000 0.000
Si 0.000 0.000 2.647
Ni 1.375 1.375 1.296
Ni 1.375 1.375 3.998
```



5.
The following is a DFT calculation (PBE) of crystalline K2Na2Nd4Nb2O13 at its relaxed geometry.

Computed properties:
As for the total energy after the MP2020 corrections: -7.896 eV/atom.

extended XYZ file:
```
46
Lattice="12.314 -2.892 0.000 12.314 2.892 0.000 -5.122 0.000 10.236" Properties=species:S:1:pos:R:3 pbc="T T T"
K 5.460 0.288 1.362
K 2.898 -0.288 6.480
K 16.606 0.288 3.755
K 14.045 -0.288 8.873
Na 5.952 0.203 4.869
Na 3.391 -0.203 9.987
Na 16.114 0.203 0.248
Na 13.552 -0.203 5.366
Nd -3.304 0.259 9.732
Nd -0.743 -0.259 4.615
Nd 9.078 0.212 3.344
Nd 6.516 -0.212 8.461
Nd 12.988 0.212 1.774
Nd 10.427 -0.212 6.892
Nd 20.248 0.259 5.621
Nd 22.809 -0.259 0.503
Nb 2.291 0.188 2.908
Nb -0.270 -0.188 8.026
Nb 19.775 0.188 2.210
Nb 17.213 -0.188 7.328
O 7.232 1.782 3.684
O 8.346 1.590 1.256
O 6.399 1.562 6.729
O 4.644 1.327 8.787
O 3.882 0.359 3.863
O 9.604 1.436 5.352
O 7.339 1.436 10.002
O 11.033 1.393 2.559
O 1.320 -0.359 8.980
O 14.834 1.782 1.434
O 10.544 1.562 8.624
O 13.720 1.590 3.862
O 12.299 1.327 6.566
O 7.205 -1.327 3.669
O 5.784 -1.590 6.373
O 8.961 -1.562 1.611
O 4.670 -1.782 8.802
O 18.184 0.359 1.255
O 8.472 -1.393 7.677
O 12.165 -1.436 0.234
O 9.901 -1.436 4.884
O 15.623 -0.359 6.373
O 14.861 -1.327 1.448
O 13.105 -1.562 3.507
O 11.159 -1.590 8.980
O 12.273 -1.782 6.551
```



6.
The following is a DFT calculation (PBE) of crystalline LiMg6Al at its relaxed geometry.

Computed properties:
Its spin magnetization is 0.00 μB/cell.

extended XYZ file:
```
16
Lattice="5.050 0.000 0.000 0.000 6.273 0.000 0.000 0.000 10.841" Properties=species:S:1:pos:R:3 pbc="T T T"
Al 0.000 3.137 3.601
Al 0.000 0.000 9.021
Mg 2.525 0.000 1.803
Mg 2.525 4.677 4.498
Mg 0.000 1.581 0.920
Mg 2.525 1.540 9.919
Mg 2.525 1.597 4.498
Mg 0.000 4.718 6.341
Mg 0.000 0.000 3.608
Mg 0.000 1.556 6.341
Mg 2.525 3.137 7.223
Mg 2.525 4.733 9.919
Mg 0.000 3.137 9.028
Mg 0.000 4.692 0.920
Li 2.525 3.137 1.832
Li 2.525 0.000 7.253
```



no.,final energy (eV per atom),ΔH_f (0 K) (meV/atom)
1,-3.528,-619.0
2,-5.952,-160.3
3,-6.540,-699.3
4,-5.621,-439.6
5,-7.508,-3180.6
6,-1.915,-7.9